Material: Ac2SiPd
Method: DFT, PBE
State: optimized geometry

Properties
formation energy: -0.56 eV/atom
ρ: 8.62 g/cm³
space-group type: Fm-3m

```
Ac2SiPd
1.0
7.683 0.000 0.000
0.000 7.683 0.000
0.000 0.000 7.683
Ac Si Pd
8 4 4
Direct
0.250 0.250 0.250 Ac
0.250 0.250 0.750 Ac
0.250 0.750 0.250 Ac
0.250 0.750 0.750 Ac
0.750 0.250 0.250 Ac
0.750 0.250 0.750 Ac
0.750 0.750 0.250 Ac
0.750 0.750 0.750 Ac
0.000 0.000 0.000 Si
0.000 0.500 0.500 Si
0.500 0.000 0.500 Si
0.500 0.500 0.000 Si
0.000 0.000 0.500 Pd
0.000 0.500 0.000 Pd
0.500 0.000 0.000 Pd
0.500 0.500 0.500 Pd
```

Material: AcPm3
Method: DFT, PBE
State: optimized geometry

Properties
formation energy: 0.05 eV/atom
ρ: 7.36 g/cm³
space-group type: P6_3/mmc

```
AcPm3
1.0
7.505 0.000 0.000
-3.752 6.500 0.000
0.000 0.000 6.123
Ac Pm
2 6
Direct
0.333 0.667 0.250 Ac
0.667 0.333 0.750 Ac
0.163 0.326 0.750 Pm
0.163 0.837 0.750 Pm
0.326 0.163 0.250 Pm
0.674 0.837 0.750 Pm
0.837 0.163 0.250 Pm
0.837 0.674 0.250 Pm
```

Material: AcPm3
Method: DFT, PBE
State: optimized geometry

Properties
formation energy: 0.04 eV/atom
ρ: 7.44 g/cm³
space-group type: I4/mmm

```
AcPm3
1.0
5.280 0.000 0.000
0.000 5.280 0.000
0.000 0.000 10.594
Ac Pm
2 6
Direct
0.000 0.000 0.000 Ac
0.500 0.500 0.500 Ac
0.000 0.000 0.500 Pm
0.000 0.500 0.250 Pm
0.000 0.500 0.750 Pm
0.500 0.000 0.250 Pm
0.500 0.000 0.750 Pm
0.500 0.500 0.000 Pm
```

Number 1: energy -5.2670 eV per atom. Number 2: energy -4.5410 eV per atom. Number 3: energy -4.5514 eV per atom.